DFT (r²SCAN) results for a geometry-optimized Ti2N structure.

Summary:
M_tot   0.0 μB/cell
Total DFT energy (no corrections)   -13.122 eV/atom
DFT formation energy   -1.454 eV per atom

a = 3.030 Å, b = 4.942 Å, c = 4.942 Å
α = 90.00°, β = 90.00°, γ = 90.00°
Fractional positions:
N1 0.500 0.500 0.500
N2 0.000 0.000 0.000
Ti1 0.500 0.203 0.797
Ti2 0.500 0.797 0.203
Ti3 0.000 0.703 0.703
Ti4 0.000 0.297 0.297

---

DFT (r²SCAN) results for a geometry-optimized Ti2N structure.

Summary:
M_tot   0.0 μB/cell
Total DFT energy (no corrections)   -13.102 eV/atom
DFT formation energy   -1.433 eV per atom

a = 4.137 Å, b = 4.137 Å, c = 5.307 Å
α = 112.94°, β = 112.94°, γ = 90.00°
Fractional positions:
Ti1 0.393 0.143 0.786
Ti2 0.857 0.607 0.714
Ti3 0.143 0.393 0.286
Ti4 0.607 0.857 0.214
N1 0.625 0.375 0.250
N2 0.375 0.625 0.750

---

DFT (r²SCAN) results for a geometry-optimized Ti2ZnN structure.

Summary:
M_tot   0.0 μB/cell
Total DFT energy (no corrections)   -12.148 eV/atom
DFT formation energy   -1.169 eV per atom

a = 8.252 Å, b = 8.252 Å, c = 4.151 Å
α = 90.00°, β = 90.00°, γ = 159.04°
Fractional positions:
N1 0.200 0.800 0.250
N2 0.800 0.200 0.750
Ti1 0.211 0.789 0.750
Ti2 0.388 0.612 0.750
Ti3 0.789 0.211 0.250
Ti4 0.612 0.388 0.250
Zn1 0.040 0.960 0.750
Zn2 0.960 0.040 0.250

---

DFT (r²SCAN) results for a geometry-optimized TmN structure.

Summary:
M_tot   0.0 μB/cell
Total DFT energy (no corrections)   -24.277 eV/atom
DFT formation energy   -2.152 eV per atom

a = 3.384 Å, b = 3.384 Å, c = 3.384 Å
α = 60.00°, β = 60.00°, γ = 60.00°
Fractional positions:
N1 0.000 0.000 0.000
Tm1 0.500 0.500 0.500